(1)
The following is a PBE calculation of an optimized crystal structure of K2ErSbO7, from the Materials Project.

DFT formation energy = -1874 meV per atom
ρ = 4.165 g cm⁻³
Symmetry = No. 74

```
K2ErSbO7
1.0
8.093 -0.154 0.703
0.192 7.851 -2.085
-4.434 -2.523 6.324
Sb K O Er
2 4 14 2
direct
0.500 0.000 0.500
0.000 0.500 0.500
0.000 0.000 0.500
0.000 0.000 0.000
0.000 0.500 0.000
0.500 0.500 0.000
0.542 0.289 0.607
0.182 0.789 0.748
0.182 0.435 0.393
0.879 0.585 0.294
0.818 0.211 0.252
0.458 0.711 0.393
0.390 0.250 0.140
0.790 0.085 0.706
0.458 0.065 0.748
0.610 0.750 0.860
0.542 0.935 0.252
0.210 0.915 0.294
0.121 0.415 0.706
0.818 0.565 0.607
0.500 0.000 0.000
0.500 0.500 0.500
```

=====

(2)
The following is a PBE calculation of an optimized crystal structure of MgSi2, from the Materials Project.

DFT formation energy = 180 meV per atom
Offset from the most stable computed form = 102.7 meV per atom
ρ = 2.565 g cm⁻³
Symmetry = No. 2

```
MgSi2
1.0
-6.084 0.000 0.000
-0.007 -7.233 0.000
1.362 1.962 9.470
Si Mg
16 8
direct
0.719 0.489 0.588
0.733 0.936 0.114
0.119 0.504 0.640
0.668 0.070 0.888
0.332 0.930 0.112
0.234 0.607 0.127
0.766 0.393 0.873
0.625 0.829 0.655
0.771 0.169 0.357
0.229 0.831 0.643
0.841 0.612 0.123
0.375 0.171 0.345
0.159 0.388 0.877
0.267 0.064 0.886
0.881 0.496 0.360
0.281 0.511 0.412
0.031 0.234 0.124
0.086 0.886 0.364
0.580 0.793 0.363
0.969 0.766 0.876
0.420 0.207 0.637
0.471 0.671 0.874
0.914 0.114 0.636
0.529 0.329 0.126
```

=====

(3)
The following is a PBE calculation of an optimized crystal structure of Na5Sc2Ta2Si3P3O24, from the Materials Project.

DFT formation energy = -3060 meV per atom
ρ = 3.532 g cm⁻³
Symmetry = No. 1

```
Na5Sc2Ta2Si3P3O24
1.0
-7.818 -2.657 -3.604
6.820 -5.868 0.711
-7.356 -6.031 20.415
Na O P Si Ta Sc
15 72 9 9 6 6
direct
0.648 0.961 0.582
0.672 0.327 0.828
0.353 0.659 0.162
0.038 0.695 0.579
0.338 0.644 0.661
0.991 0.988 0.493
0.990 0.628 0.245
0.973 0.298 0.410
0.303 0.961 0.078
0.996 0.002 0.992
0.369 0.010 0.746
0.325 0.022 0.415
0.036 0.352 0.083
0.662 0.329 0.326
0.979 0.679 0.916
0.181 0.029 0.591
0.971 0.818 0.091
0.853 0.484 0.422
0.338 0.850 0.580
0.821 0.016 0.807
0.014 0.198 0.912
0.514 0.818 0.757
0.507 0.639 0.861
0.138 0.634 0.359
0.801 0.827 0.194
0.652 0.514 0.643
0.470 0.299 0.027
0.140 0.498 0.864
0.835 0.527 0.024
0.852 0.530 0.745
0.802 0.978 0.691
0.823 0.003 0.414
0.027 0.837 0.411
0.166 0.977 0.911
0.170 0.970 0.196
0.961 0.159 0.589
0.138 0.457 0.976
0.032 0.831 0.697
0.170 0.198 0.695
0.472 0.166 0.526
0.841 0.039 0.089
0.363 0.494 0.360
0.506 0.369 0.422
0.844 0.333 0.248
0.864 0.375 0.920
0.544 0.858 0.479
0.876 0.508 0.142
0.636 0.494 0.921
0.804 0.809 0.911
0.294 0.468 0.757
0.175 0.702 0.756
0.700 0.531 0.527
0.838 0.298 0.526
0.310 0.850 0.977
0.516 0.149 0.922
0.306 0.460 0.470
0.530 0.703 0.255
0.641 0.126 0.138
0.870 0.356 0.637
0.631 0.149 0.421
0.464 0.313 0.744
0.687 0.535 0.243
0.848 0.815 0.591
0.988 0.191 0.312
0.149 0.659 0.078
0.486 0.351 0.142
0.334 0.487 0.079
0.819 0.794 0.304
0.019 0.192 0.193
0.149 0.688 0.477
0.497 0.856 0.362
0.132 0.483 0.576
0.702 0.167 0.028
0.182 0.488 0.255
0.185 0.152 0.091
0.205 0.179 0.805
0.989 0.795 0.809
0.537 0.682 0.972
0.517 0.869 0.075
0.510 0.662 0.581
0.665 0.154 0.748
0.490 0.124 0.643
0.470 0.148 0.245
0.358 0.857 0.859
0.205 0.012 0.308
0.295 0.824 0.255
0.190 0.199 0.409
0.955 0.329 0.583
0.340 0.382 0.416
0.706 0.712 0.250
0.002 0.709 0.753
0.622 0.662 0.917
0.671 0.046 0.083
0.286 0.292 0.751
0.291 0.998 0.252
0.040 0.377 0.918
0.628 0.961 0.419
0.002 0.297 0.253
0.375 0.335 0.086
0.665 0.624 0.586
0.336 0.963 0.918
0.039 0.665 0.418
0.372 0.044 0.585
0.955 0.627 0.084
0.706 0.000 0.752
0.999 0.002 0.147
0.335 0.667 0.313
0.658 0.331 0.979
0.997 0.001 0.647
0.340 0.670 0.813
0.665 0.338 0.480
0.999 0.008 0.853
0.990 0.996 0.352
0.336 0.666 0.019
0.667 0.335 0.687
0.340 0.670 0.519
0.666 0.332 0.186
```

=====

(4)
The following is a PBE calculation of an optimized crystal structure of TlBiTe2, from the Materials Project.

DFT formation energy = -403 meV per atom
ρ = 8.120 g cm⁻³
Symmetry = No. 123

```
TlBiTe2
1.0
4.595 0.000 0.000
0.000 4.595 0.000
0.000 0.000 6.474
Bi Te Tl
1 2 1
direct
0.500 0.500 0.500
0.500 0.500 0.000
0.000 0.000 0.500
0.000 0.000 0.000
```

=====

Which of these has the highest ρ? TlBiTe2